(1)
Material: Na2MgInF7
Method: DFT, PBE
State: relaxed

Results
- Density: 3.5 Mg/m³
- Corrected total energy (MP2020 scheme): -221.98 eV per cell
- E_form: -3.19 eV per atom
- Spin magnetization: 0.00 μB/f.u.

Cell and atoms, written as POSCAR:
```
Na2MgInF7
1.0
-5.713 -3.116 -3.652
3.518 -6.815 0.311
-4.796 -2.053 9.253
Na Mg In F
8 4 4 28
direct
0.000 0.000 0.000
0.500 0.000 0.000
0.000 0.500 0.500
0.500 0.500 0.500
0.250 0.233 0.272
0.250 0.267 0.772
0.750 0.733 0.228
0.750 0.767 0.728
0.500 0.000 0.500
0.500 0.500 0.000
0.000 0.000 0.500
0.000 0.500 0.000
0.250 0.750 0.263
0.750 0.250 0.737
0.750 0.250 0.237
0.250 0.750 0.763
0.452 0.675 0.135
0.952 0.325 0.865
0.548 0.175 0.365
0.048 0.825 0.635
0.548 0.325 0.865
0.048 0.675 0.135
0.452 0.825 0.635
0.952 0.175 0.365
0.519 0.300 0.125
0.019 0.700 0.875
0.481 0.800 0.375
0.981 0.200 0.625
0.481 0.700 0.875
0.981 0.300 0.125
0.519 0.200 0.625
0.019 0.800 0.375
0.250 0.506 0.360
0.750 0.494 0.640
0.750 0.006 0.140
0.250 0.994 0.860
0.250 0.984 0.160
0.750 0.016 0.840
0.750 0.484 0.340
0.250 0.516 0.660
0.250 0.052 0.466
0.750 0.948 0.534
0.750 0.552 0.034
0.250 0.448 0.966
```

***

(2)
Material: Na3Mg4InSi8O22F2
Method: DFT, PBE
State: relaxed

Results
- Density: 3.1 Mg/m³
- Corrected total energy (MP2020 scheme): -293.89 eV per cell
- E_form: -3.12 eV per atom
- Spin magnetization: 0.00 μB/f.u.

Cell and atoms, written as POSCAR:
```
Na3Mg4InSi8O22F2
1.0
5.351 0.000 0.000
2.320 9.666 0.000
1.161 4.832 9.180
Na Mg In Si O F
3 4 1 8 22 2
direct
0.500 0.274 0.453
0.500 0.723 0.555
0.074 0.471 0.999
0.000 0.002 0.994
0.500 0.090 0.819
0.500 0.914 0.172
0.000 0.183 0.633
0.000 0.818 0.364
0.796 0.881 0.667
0.797 0.539 0.338
0.204 0.121 0.339
0.204 0.452 0.666
0.292 0.802 0.832
0.293 0.633 0.166
0.708 0.201 0.166
0.709 0.366 0.832
0.291 0.655 0.999
0.709 0.346 0.999
0.787 0.889 0.509
0.797 0.393 0.494
0.204 0.114 0.494
0.214 0.602 0.509
0.081 0.777 0.747
0.079 0.526 0.253
0.922 0.222 0.252
0.921 0.476 0.747
0.731 0.046 0.670
0.721 0.715 0.329
0.280 0.956 0.329
0.270 0.283 0.671
0.218 0.969 0.834
0.217 0.802 0.166
0.782 0.031 0.167
0.782 0.198 0.833
0.579 0.773 0.766
0.580 0.540 0.233
0.418 0.229 0.231
0.418 0.461 0.769
0.711 0.900 0.001
0.288 0.101 0.001
```

***

(3)
Material: In3NF10
Method: DFT, PBE
State: relaxed

Results
- Density: 3.9 Mg/m³
- Corrected total energy (MP2020 scheme): -128.27 eV per cell
- E_form: -2.03 eV per atom
- Spin magnetization: 2.00 μB/f.u.

Cell and atoms, written as POSCAR:
```
In3NF10
1.0
-1.203 6.717 0.551
-5.167 -1.430 6.136
6.299 0.680 5.463
In N F
6 2 20
direct
0.000 0.010 0.250
0.000 0.990 0.750
0.500 0.744 0.250
0.500 0.256 0.750
0.500 0.276 0.250
0.500 0.724 0.750
0.980 0.500 0.000
0.020 0.500 0.500
0.331 0.509 0.244
0.669 0.491 0.744
0.669 0.509 0.256
0.331 0.491 0.756
0.500 0.010 0.250
0.500 0.990 0.750
0.201 0.185 0.731
0.799 0.815 0.231
0.799 0.185 0.769
0.201 0.815 0.269
0.492 0.277 0.000
0.508 0.723 0.500
0.508 0.277 0.500
0.492 0.723 0.000
0.027 0.000 0.000
0.973 0.000 0.500
0.198 0.209 0.248
0.802 0.791 0.748
0.802 0.209 0.252
0.198 0.791 0.752
```

***

(4)
Material: InOF2
Method: DFT, PBE
State: relaxed

Results
- Density: 4.3 Mg/m³
- Corrected total energy (MP2020 scheme): -19.37 eV per cell
- E_form: -1.96 eV per atom
- Spin magnetization: 1.00 μB/f.u.

Cell and atoms, written as POSCAR:
```
InOF2
1.0
2.395 -2.907 1.610
3.715 1.427 -0.972
0.662 1.851 3.446
In O F
1 1 2
direct
0.006 0.994 0.000
0.853 0.147 0.500
0.123 0.490 0.876
0.510 0.877 0.124
```

***

(5)
Material: InOF
Method: DFT, PBE
State: relaxed

Results
- Density: 6.3 Mg/m³
- Corrected total energy (MP2020 scheme): -66.81 eV per cell
- E_form: -2.36 eV per atom
- Spin magnetization: 0.00 μB/f.u.

Cell and atoms, written as POSCAR:
```
InOF
1.0
0.000 4.258 5.183
3.585 0.000 5.183
3.585 4.258 0.000
In O F
4 4 4
direct
0.447 0.045 0.459
0.056 0.441 0.048
0.793 0.208 0.806
0.205 0.804 0.198
0.389 0.383 0.122
0.141 0.141 0.860
0.868 0.853 0.138
0.121 0.115 0.380
0.632 0.117 0.620
0.131 0.626 0.626
0.628 0.628 0.615
0.634 0.624 0.121
```

***

(6)
Material: InOF
Method: DFT, PBE
State: relaxed

Results
- Density: 6.3 Mg/m³
- Corrected total energy (MP2020 scheme): -66.99 eV per cell
- E_form: -2.38 eV per atom

Cell and atoms, written as POSCAR:
```
InOF
1.0
0.000 4.258 5.183
3.585 0.000 5.183
3.585 4.258 0.000
In O F
4 4 4
direct
0.799 0.201 0.799
0.201 0.799 0.201
0.451 0.049 0.451
0.049 0.451 0.049
0.136 0.136 0.864
0.386 0.386 0.114
0.114 0.114 0.386
0.864 0.864 0.136
0.625 0.625 0.625
0.625 0.625 0.125
0.625 0.125 0.625
0.125 0.625 0.625
```

***

(7)
Material: RbIn3F10
Method: DFT, PBE
State: relaxed

Results
- Density: 4.4 Mg/m³
- Corrected total energy (MP2020 scheme): -137.24 eV per cell
- E_form: -2.87 eV per atom
- Spin magnetization: 0.00 μB/f.u.

Cell and atoms, written as POSCAR:
```
RbIn3F10
1.0
-0.405 -1.445 6.783
-6.552 -4.238 -1.294
4.691 -6.891 -1.188
Rb In F
2 6 20
direct
0.991 0.500 0.500
0.009 0.500 0.000
0.500 0.277 0.750
0.500 0.735 0.750
0.500 0.723 0.250
0.500 0.265 0.250
0.000 0.005 0.750
0.000 0.995 0.250
0.196 0.804 0.769
0.194 0.208 0.759
0.971 0.000 0.000
0.804 0.804 0.731
0.804 0.196 0.269
0.500 0.005 0.750
0.679 0.506 0.761
0.806 0.792 0.259
0.500 0.278 0.500
0.500 0.722 0.000
0.194 0.792 0.241
0.500 0.722 0.500
0.806 0.208 0.741
0.196 0.196 0.231
0.321 0.506 0.739
0.500 0.278 0.000
0.500 0.995 0.250
0.679 0.494 0.239
0.321 0.494 0.261
0.029 0.000 0.500
```

***

(8)
Material: Rb2In3F11
Method: DFT, PBE
State: relaxed

Results
- Density: 4.3 Mg/m³
- Corrected total energy (MP2020 scheme): -311.69 eV per cell
- E_form: -2.92 eV per atom
- Spin magnetization: 0.00 μB/f.u.

Cell and atoms, written as POSCAR:
```
Rb2In3F11
1.0
8.415 0.000 0.000
0.000 6.808 0.000
0.000 0.220 19.475
Rb In F
8 12 44
direct
0.250 0.262 0.853
0.750 0.738 0.147
0.750 0.249 0.848
0.250 0.751 0.152
0.250 0.251 0.654
0.750 0.749 0.346
0.750 0.237 0.650
0.250 0.763 0.350
0.498 0.751 0.969
0.998 0.249 0.031
0.502 0.249 0.031
0.002 0.751 0.969
0.500 0.744 0.751
0.000 0.256 0.249
0.500 0.256 0.249
0.000 0.744 0.751
0.501 0.749 0.531
0.001 0.251 0.469
0.499 0.251 0.469
0.999 0.749 0.531
0.250 0.746 0.978
0.750 0.254 0.022
0.750 0.754 0.971
0.250 0.246 0.029
0.250 0.802 0.740
0.750 0.198 0.260
0.750 0.676 0.764
0.250 0.324 0.236
0.250 0.748 0.520
0.750 0.252 0.480
0.750 0.749 0.528
0.250 0.251 0.472
0.473 0.749 0.859
0.973 0.251 0.141
0.527 0.251 0.141
0.027 0.749 0.859
0.518 0.741 0.642
0.018 0.259 0.358
0.482 0.259 0.358
0.982 0.741 0.642
0.502 0.440 0.939
0.002 0.560 0.061
0.498 0.560 0.061
0.998 0.440 0.939
0.500 0.061 0.939
0.000 0.939 0.061
0.500 0.939 0.061
0.000 0.061 0.939
0.464 0.444 0.752
0.964 0.556 0.248
0.536 0.556 0.248
0.036 0.444 0.752
0.542 0.040 0.750
0.042 0.960 0.250
0.458 0.960 0.250
0.958 0.040 0.750
0.491 0.437 0.561
0.991 0.563 0.439
0.509 0.563 0.439
0.009 0.437 0.561
0.486 0.056 0.561
0.986 0.944 0.439
0.514 0.944 0.439
0.014 0.056 0.561
```

***

(9)
Material: Rb2In3F11
Method: DFT, PBE
State: relaxed

Results
- Density: 4.3 Mg/m³
- Corrected total energy (MP2020 scheme): -311.80 eV per cell
- E_form: -2.92 eV per atom

Cell and atoms, written as POSCAR:
```
Rb2In3F11
1.0
8.384 0.000 0.000
0.000 6.780 0.000
0.000 0.336 19.470
Rb In F
8 12 44
direct
0.250 0.247 0.850
0.750 0.753 0.150
0.750 0.258 0.848
0.250 0.742 0.152
0.250 0.237 0.653
0.750 0.763 0.347
0.750 0.247 0.649
0.250 0.753 0.351
0.498 0.751 0.968
0.998 0.249 0.032
0.502 0.249 0.032
0.002 0.751 0.968
0.000 0.748 0.750
0.500 0.252 0.250
0.000 0.252 0.250
0.500 0.748 0.750
0.999 0.748 0.532
0.499 0.252 0.468
0.001 0.252 0.468
0.501 0.748 0.532
0.494 0.057 0.561
0.994 0.943 0.439
0.506 0.943 0.439
0.006 0.057 0.561
0.493 0.436 0.561
0.993 0.564 0.439
0.507 0.564 0.439
0.007 0.436 0.561
0.552 0.042 0.749
0.052 0.958 0.251
0.448 0.958 0.251
0.948 0.042 0.749
0.451 0.452 0.752
0.951 0.548 0.248
0.549 0.548 0.248
0.495 0.442 0.939
0.049 0.452 0.752
0.996 0.937 0.061
0.504 0.937 0.061
0.004 0.063 0.939
0.250 0.751 0.983
0.750 0.249 0.017
0.750 0.751 0.966
0.250 0.249 0.034
0.250 0.830 0.738
0.750 0.170 0.262
0.750 0.666 0.763
0.250 0.334 0.237
0.250 0.749 0.524
0.750 0.251 0.476
0.750 0.749 0.526
0.250 0.251 0.474
0.030 0.758 0.859
0.530 0.242 0.141
0.970 0.242 0.141
0.470 0.758 0.859
0.979 0.740 0.642
0.479 0.260 0.358
0.021 0.260 0.358
0.521 0.740 0.642
0.005 0.442 0.939
0.505 0.558 0.061
0.995 0.558 0.061
0.496 0.063 0.939
```

***

(10)
Material: RbIn3F10
Method: DFT, PBE
State: relaxed

Results
- Density: 4.5 Mg/m³
- Corrected total energy (MP2020 scheme): -137.26 eV per cell
- E_form: -2.87 eV per atom

Cell and atoms, written as POSCAR:
```
RbIn3F10
1.0
-3.246 -1.307 5.988
3.240 -7.221 0.180
6.594 3.065 4.244
Rb In F
2 6 20
direct
0.992 0.500 0.250
0.008 0.500 0.750
0.500 0.269 0.500
0.500 0.731 0.000
0.000 0.000 0.500
0.000 0.000 0.000
0.500 0.269 0.000
0.500 0.731 0.500
0.194 0.203 0.981
0.194 0.797 0.519
0.806 0.203 0.019
0.806 0.797 0.481
0.194 0.203 0.519
0.194 0.797 0.981
0.806 0.203 0.481
0.806 0.797 0.019
0.500 0.000 0.000
0.500 0.000 0.500
0.037 0.000 0.250
0.963 0.000 0.750
0.680 0.500 0.995
0.680 0.500 0.505
0.320 0.500 0.005
0.320 0.500 0.495
0.487 0.722 0.250
0.487 0.278 0.250
0.513 0.722 0.750
0.513 0.278 0.750
```

***

(11)
Material: Rb3InF6
Method: DFT, PBE
State: relaxed

Results
- Density: 3.7 Mg/m³
- Corrected total energy (MP2020 scheme): -46.73 eV per cell
- E_form: -2.95 eV per atom

Cell and atoms, written as POSCAR:
```
Rb3InF6
1.0
0.000 4.760 4.760
4.760 0.000 4.760
4.760 4.760 0.000
Rb In F
3 1 6
direct
0.750 0.750 0.750
0.250 0.250 0.250
0.500 0.500 0.500
0.000 0.000 0.000
0.779 0.221 0.221
0.221 0.221 0.779
0.221 0.779 0.779
0.221 0.779 0.221
0.779 0.221 0.779
0.779 0.779 0.221
```

***

(12)
Material: Rb2InSbF6
Method: DFT, PBE
State: relaxed

Results
- Density: 3.9 Mg/m³
- Corrected total energy (MP2020 scheme): -46.49 eV per cell
- E_form: -2.62 eV per atom
- Spin magnetization: 0.00 μB/f.u.

Cell and atoms, written as POSCAR:
```
Rb2InSbF6
1.0
0.000 4.818 4.818
4.818 0.000 4.818
4.818 4.818 0.000
Rb In Sb F
2 1 1 6
direct
0.750 0.750 0.750
0.250 0.250 0.250
0.500 0.500 0.500
0.000 0.000 0.000
0.771 0.229 0.229
0.229 0.229 0.771
0.229 0.771 0.771
0.229 0.771 0.229
0.771 0.229 0.771
0.771 0.771 0.229
```